Record 1
The following is a PBE-GGA calculation of a geometry-optimized Y6Te2Pd structure, from the Materials Project database.

The structure belongs to space group Pnma (No. 62); the cell edges are 22.001, 4.030 and 11.535 Å and the angles 90.00°, 90.00° and 90.00°. The asymmetric unit holds Y at (0.012, 0.250, 0.114), Y at (0.025, 0.750, 0.379), Y at (0.109, 0.250, 0.826), Y at (0.146, 0.750, 0.076), Y at (0.154, 0.250, 0.541), Y at (0.234, 0.750, 0.754), Te at (0.127, 0.250, 0.278), Te at (0.239, 0.250, 0.969) and Pd at (0.073, 0.750, 0.646).

Its crystal system is orthorhombic. The total magnetization is 0.03 μB per cell. The formation energy is -0.824 eV/atom.

---

Record 2
The following is a PBE-GGA calculation of a geometry-optimized Th3Pd4 structure, from the Materials Project database.

The structure belongs to space group R-3 (No. 148, hexagonal axes); the cell edges are 13.8400, 13.8400 and 5.8417 Å and the angles 90.00°, 90.00° and 120.00°. The asymmetric unit holds Th at (0.0396, 0.2090, 0.2390), Pd at (0.0000, 0.0000, 0.0000), Pd at (0.0000, 0.0000, 0.5000) and Pd at (0.0550, 0.4449, 0.3846).

Its crystal system is trigonal. The formation energy is -0.823 eV/atom.

---

Record 3
The following is a PBE-GGA calculation of a geometry-optimized Th3Pd5 structure, from the Materials Project database.

The structure belongs to space group P-62m (No. 189); the cell edges are 7.7016, 7.7016 and 3.4666 Å and the angles 90.00°, 90.00° and 120.00°. The asymmetric unit holds Th at (0.0000, 0.7286, 0.0000), Pd at (0.0000, 0.3595, 0.5000) and Pd at (0.3333, 0.6667, 0.0000).

Its crystal system is hexagonal. The total magnetization is 0.00 μB per cell. The formation energy is -0.574 eV/atom.

---

Record 4
The following is a PBE-GGA calculation of a geometry-optimized Th2Pd structure, from the Materials Project database.

The structure belongs to space group I4/mcm (No. 140); the cell edges are 7.348, 7.348 and 5.954 Å and the angles 90.00°, 90.00° and 90.00°. The asymmetric unit holds Th at (0.162, 0.338, 0.000) and Pd at (0.000, 0.000, 0.250).

Its crystal system is tetragonal. The formation energy is -0.512 eV/atom.

---

Record 5
The following is a PBE-GGA calculation of a geometry-optimized ThPd structure, from the Materials Project database.

The structure belongs to space group Pnma (No. 62); the cell edges are 7.290, 4.590 and 5.898 Å and the angles 90.00°, 90.00° and 90.00°. The asymmetric unit holds Th at (0.179, 0.250, 0.141) and Pd at (0.047, 0.250, 0.650).

Its crystal system is orthorhombic. The formation energy is -0.767 eV/atom.

---

Record 6
The following is a PBE-GGA calculation of a geometry-optimized Ti3Pd5 structure, from the Materials Project database.

The structure belongs to space group P4/mmm (No. 123); the cell edges are 3.310, 3.310 and 11.499 Å and the angles 90.00°, 90.00° and 90.00°. The asymmetric unit holds Ti at (0.000, 0.000, 0.000), Ti at (0.500, 0.500, 0.363), Pd at (0.000, 0.000, 0.258), Pd at (0.000, 0.000, 0.500) and Pd at (0.500, 0.500, 0.120).

Its crystal system is tetragonal. For the energy above the lowest structure with this stoichiometry, the calculation gives 0 meV/atom. The formation energy is -0.617 eV/atom.